No. 1
The following is a PBE calculation of a relaxed structure of CaHfS3O12, from the Materials Project database.

The structure in POSCAR format:
```
CaHfS3O12
1.0
-6.9724 2.6135 -5.2574
3.4970 -8.3697 -0.8967
-14.7834 -7.8587 15.6993
O Hf S Ca
72 6 18 6
direct
0.3792 0.5035 0.3648
0.3211 0.4620 0.4684
0.9491 0.7971 0.0917
0.0459 0.2091 0.1981
0.3373 0.4514 0.0726
0.2153 0.2192 0.4060
0.1814 0.7176 0.7583
0.1632 0.2091 0.6981
0.4576 0.1702 0.5315
0.7126 0.5424 0.5315
0.4965 0.6208 0.8648
0.2046 0.0122 0.3018
0.6157 0.1304 0.4250
0.4475 0.1181 0.2393
0.6706 0.1181 0.7393
0.1243 0.6208 0.3648
0.6157 0.4853 0.9250
0.1141 0.4514 0.5726
0.8298 0.5424 0.0315
0.8076 0.7954 0.3018
0.2153 0.9961 0.9060
0.1409 0.6789 0.4684
0.5486 0.8859 0.0726
0.4742 0.3455 0.1351
0.7909 0.8368 0.1981
0.0459 0.8368 0.6981
0.2029 0.1520 0.0917
0.9491 0.1520 0.5917
0.8713 0.5258 0.1351
0.3373 0.8859 0.5726
0.8480 0.7971 0.5917
0.2029 0.0509 0.5917
0.6545 0.1287 0.1351
0.8819 0.3294 0.2393
0.0039 0.2192 0.9060
0.4576 0.2874 0.0315
0.4742 0.1287 0.6351
0.7909 0.9541 0.6981
0.2046 0.1924 0.8018
0.6706 0.5525 0.2393
0.9878 0.1924 0.3018
0.8696 0.3843 0.9250
0.8696 0.4853 0.4250
0.4475 0.3294 0.7393
0.1814 0.4638 0.2583
0.8076 0.0122 0.8018
0.7808 0.7847 0.9060
0.5147 0.3843 0.4250
0.5380 0.8591 0.4684
0.6545 0.5258 0.6351
0.5362 0.8186 0.7583
0.1243 0.5035 0.8648
0.8713 0.3455 0.6351
0.1632 0.9541 0.1981
0.3211 0.8591 0.9684
0.9878 0.7954 0.8018
0.5362 0.7176 0.2583
0.2824 0.4638 0.7583
0.8819 0.5525 0.7393
0.4965 0.8757 0.3648
0.7808 0.9961 0.4060
0.8480 0.0509 0.0917
0.0039 0.7847 0.4060
0.5380 0.6789 0.9684
0.2824 0.8186 0.2583
0.1409 0.4620 0.9684
0.5486 0.6627 0.5726
0.5147 0.1304 0.9250
0.1141 0.6627 0.0726
0.3792 0.8757 0.8648
0.8298 0.2874 0.5315
0.7126 0.1702 0.0315
0.6667 0.3333 0.9793
0.3333 0.6667 0.8126
0.6667 0.3333 0.4793
0.3333 0.6667 0.3126
0.0000 0.0000 0.1459
0.0000 0.0000 0.6459
0.2773 0.2957 0.7505
0.3710 0.3150 0.0838
0.3517 0.9623 0.9171
0.7043 0.7227 0.2505
0.6850 0.6290 0.5838
0.3710 0.0560 0.5838
0.0377 0.3893 0.9171
0.0377 0.6483 0.4171
0.6107 0.9623 0.4171
0.0183 0.7227 0.7505
0.6107 0.6483 0.9171
0.2773 0.9817 0.2505
0.0183 0.2957 0.2505
0.3517 0.3893 0.4171
0.6850 0.0560 0.0838
0.9440 0.6290 0.0838
0.9440 0.3150 0.5838
0.7043 0.9817 0.7505
0.6667 0.3333 0.1934
0.3333 0.6667 0.0268
0.0000 0.0000 0.3601
0.0000 0.0000 0.8601
0.6667 0.3333 0.6934
0.3333 0.6667 0.5268
```


No. 2
The following is a PBE calculation of a relaxed structure of SrCaHfSnO6, from the Materials Project database.

The structure in POSCAR format:
```
SrCaHfSnO6
1.0
4.1231 4.0522 0.5015
-1.4269 5.6230 -0.1321
0.3536 3.1973 4.8295
Sn O Sr Ca Hf
1 6 1 1 1
direct
0.5000 0.5000 0.5000
0.2501 0.7499 0.2501
0.7499 0.2501 0.2501
0.2501 0.2501 0.7499
0.2501 0.7499 0.7499
0.7499 0.7499 0.2501
0.7499 0.2501 0.7499
0.2500 0.2500 0.2500
0.7500 0.7500 0.7500
0.0000 0.0000 0.0000
```


No. 3
The following is a PBE calculation of a relaxed structure of Sr3CaHf4O12, from the Materials Project database.

The structure in POSCAR format:
```
Sr3CaHf4O12
1.0
-6.0449 3.4216 -4.3595
1.7880 -2.8116 -4.6861
-3.4867 -4.4558 1.3376
O Ca Hf Sr
12 1 4 3
direct
0.7838 0.7104 0.7106
0.2162 0.7104 0.7106
0.0000 0.0638 0.5090
0.2180 0.7926 0.2074
0.7177 0.2091 0.7906
0.0000 0.4329 0.0222
0.5000 0.5650 0.9636
0.5000 0.9137 0.4848
0.7820 0.7926 0.2074
0.2823 0.2091 0.7906
0.2969 0.2973 0.2972
0.7031 0.2973 0.2972
0.5000 0.5020 0.5388
0.7480 0.5002 0.0011
0.7475 0.9999 0.4991
0.2520 0.5002 0.0011
0.2525 0.9999 0.4991
0.5000 0.0038 0.0296
0.0000 0.5069 0.4731
0.0000 0.9929 0.9665
```


No. 4
The following is a PBE calculation of a relaxed structure of SrCaHfTiO6, from the Materials Project database.

The structure in POSCAR format:
```
SrCaHfTiO6
1.0
0.0000 -4.0185 -4.0185
4.0185 0.0000 -4.0185
4.0185 -4.0185 0.0000
Sr Hf O Ti Ca
1 1 6 1 1
direct
0.7500 0.7500 0.7500
0.0000 0.0000 0.0000
0.2561 0.7439 0.7439
0.7439 0.7439 0.2561
0.2561 0.2561 0.7439
0.7439 0.2561 0.2561
0.7439 0.2561 0.7439
0.2561 0.7439 0.2561
0.5000 0.5000 0.5000
0.2500 0.2500 0.2500
```


No. 5
The following is a PBE calculation of a relaxed structure of SrCaHfZrO6, from the Materials Project database.

The structure in POSCAR format:
```
SrCaHfZrO6
1.0
1.2790 0.9067 -5.6580
-1.5127 -3.9944 -4.0283
-4.2936 1.1725 -3.8289
O Sr Zr Ca Hf
6 1 1 1 1
direct
0.7518 0.2482 0.7518
0.7518 0.7518 0.2482
0.2482 0.2482 0.7518
0.2482 0.7518 0.7518
0.7518 0.2482 0.2482
0.2482 0.7518 0.2482
0.7500 0.7500 0.7500
0.5000 0.5000 0.5000
0.2500 0.2500 0.2500
0.0000 0.0000 0.0000
```


No. 6
The following is a PBE calculation of a relaxed structure of CaHfS3, from the Materials Project database.

The structure in POSCAR format:
```
CaHfS3
1.0
6.5603 0.0000 0.0000
0.0000 7.0179 0.0000
0.0000 0.0000 9.5982
Ca Hf S
4 4 12
direct
0.5281 0.4107 0.7500
0.4719 0.5893 0.2500
0.9719 0.9107 0.7500
0.0281 0.0893 0.2500
0.0000 0.5000 0.5000
0.5000 0.0000 0.0000
0.0000 0.5000 0.0000
0.5000 0.0000 0.5000
0.8802 0.4673 0.2500
0.3166 0.3096 0.0612
0.1834 0.8096 0.0612
0.6834 0.6904 0.9388
0.6834 0.6904 0.5612
0.3802 0.0327 0.7500
0.8166 0.1904 0.5612
0.6198 0.9673 0.2500
0.8166 0.1904 0.9388
0.1834 0.8096 0.4388
0.1198 0.5327 0.7500
0.3166 0.3096 0.4388
```


No. 7
The following is a PBE calculation of a relaxed structure of CaHfZn, from the Materials Project database.

The structure in POSCAR format:
```
CaHfZn
1.0
0.0000 3.4118 3.4118
3.4118 0.0000 3.4118
3.4118 3.4118 0.0000
Hf Ca Zn
1 1 1
direct
0.2500 0.2500 0.2500
0.0000 0.0000 0.0000
0.5000 0.5000 0.5000
```


No. 8
The following is a PBE calculation of a relaxed structure of Ca3Hg2, from the Materials Project database.

The structure in POSCAR format:
```
Ca3Hg2
1.0
8.6766 0.0000 0.0000
0.0000 8.6766 0.0000
0.0000 0.0000 4.1214
Ca Hg
6 4
direct
0.8461 0.6539 0.5000
0.6539 0.1539 0.5000
0.3461 0.8461 0.5000
0.5000 0.5000 0.0000
0.0000 0.0000 0.0000
0.1539 0.3461 0.5000
0.8556 0.3556 0.0000
0.1444 0.6444 0.0000
0.6444 0.8556 0.0000
0.3556 0.1444 0.0000
```


| no. | formation energy (eV per atom) |
| --- | --- |
| 1 | -2.523 |
| 2 | -3.151 |
| 3 | -3.807 |
| 4 | -3.615 |
| 5 | -3.632 |
| 6 | -2.070 |
| 7 | 0.920 |
| 8 | -0.472 |